[1]
Below is a geometry-optimized Na10Zn4In4Si3S9O48 structure, with properties calculated at the PBE level.

VASP energy	-5.796	eV/atom
crystal system	triclinic
calculated volume	3217.6	Å³ per cell
energy relative to the elements	-2.113	eV/atom

a = 18.0448 Å, b = 9.0275 Å, c = 22.8544 Å
α = 89.82°, β = 88.68°, γ = 120.16°
Last column: nearest neighbours and their distance in Å.
Element x y z (fractional)
O: 0.6810 0.5119 0.0778  1 Si 1.64
O: 0.7456 0.1342 0.9191  1 S 1.51
O: 0.7358 0.1537 0.2434  1 S 1.47
O: 0.5775 0.6856 0.7568  1 S 1.50
O: 0.0752 0.6768 0.7577  1 S 1.51
O: 0.5768 0.4708 0.2545  1 S 1.51
O: 0.8486 0.5518 0.5321  1 S 1.48
O: 0.9316 0.5086 0.4221  1 S 1.51
O: 0.2525 0.6698 0.2529  1 Si 1.66
O: 0.0711 0.6820 0.4667  1 S 1.46
O: 0.3226 0.1255 0.1353  1 S 1.46
O: 0.6766 0.8430 0.5807  1 Si 1.66
O: 0.5695 0.4567 0.9688  1 S 1.46
O: 0.2231 0.2848 0.0282  1 Si 1.63
O: 0.9031 0.8229 0.9114  1 S 1.48
O: 0.1495 0.8362 0.2579  1 S 1.51
O: 0.1060 0.0313 0.3019  1 S 1.47
O: 0.1549 0.8576 0.9705  1 S 1.47
O: 0.5750 0.6988 0.4740  1 Si 1.61
O: 0.2559 0.8255 0.7546  1 Si 1.70
O: 0.7568 0.8275 0.7558  1 Si 1.67
O: 0.9049 0.9895 0.4110  1 S 1.47
O: 0.1527 0.4575 0.4683  1 S 1.46
O: 0.3231 0.1323 0.4212  1 S 1.47
O: 0.6536 0.8414 0.2551  1 S 1.49
O: 0.5891 0.1519 0.0891  1 Si 1.66
O: 0.9079 0.8053 0.5861  1 S 1.51
O: 0.4033 0.8222 0.9120  1 S 1.47
O: 0.7643 0.8914 0.3667  1 S 1.49
O: 0.6556 0.8578 0.9704  1 S 1.48
O: 0.5995 0.2265 0.6991  1 S 1.47
O: 0.3906 0.8097 0.1880  1 Si 1.64
O: 0.0972 0.9690 0.1967  1 S 1.50
O: 0.4105 0.8029 0.5869  1 S 1.52
O: 0.2434 0.3615 0.4201  1 S 1.50
O: 0.4086 0.7855 0.3066  1 Si 1.61
O: 0.7395 0.3688 0.1426  1 Si 1.62
O: 0.4448 0.5239 0.1369  1 S 1.47
O: 0.7364 0.3231 0.7463  1 S 1.50
O: 0.0867 0.1975 0.4114  1 S 1.47
O: 0.9316 0.3547 0.9221  1 S 1.50
O: 0.5115 0.2017 0.9133  1 S 1.47
O: 0.4204 0.5369 0.7450  1 S 1.47
O: 0.5713 0.6586 0.0753  1 S 1.48
O: 0.5190 0.8102 0.6969  1 S 1.51
O: 0.9210 0.5348 0.7459  1 S 1.48
O: 0.7543 0.6408 0.5791  1 S 1.48
O: 0.8501 0.1465 0.0289  1 S 1.48
O: 0.5973 0.9735 0.1968  1 S 1.50
O: 0.9289 0.5459 0.0315  1 S 1.49
O: 0.4886 0.7985 0.0869  1 S 1.50
O: 0.3995 0.9758 0.4114  1 S 1.48
O: 0.7789 0.8644 0.4722  1 S 1.48
O: 0.3488 0.5527 0.5315  1 S 1.49
O: 0.3259 0.5121 0.9218  1 S 1.49
O: 0.9172 0.7921 0.3027  1 Si 1.60
O: 0.4289 0.5468 0.0315  1 S 1.49
O: 0.3238 0.5268 0.6385  1 S 1.47
O: 0.2665 0.6381 0.8637  1 S 1.51
O: 0.4182 0.5002 0.4213  1 Si 1.66
O: 0.5183 0.2266 0.1978  1 S 1.50
O: 0.9874 0.7853 0.8046  1 S 1.46
O: 0.9888 0.1922 0.3044  1 S 1.46
O: 0.2622 0.8845 0.3652  1 S 1.49
O: 0.8231 0.1262 0.1353  1 S 1.46
O: 0.5847 0.0023 0.5887  1 Si 1.66
O: 0.9073 0.0117 0.0857  1 S 1.50
O: 0.0878 0.0144 0.5869  1 Si 1.64
O: 0.0562 0.6406 0.3606  1 S 1.51
O: 0.4224 0.3125 0.2452  1 S 1.48
O: 0.6075 0.1836 0.8040  1 S 1.46
O: 0.6090 0.0312 0.3023  1 S 1.48
O: 0.8241 0.1399 0.4220  1 S 1.51
O: 0.9842 0.1750 0.5878  1 S 1.50
O: 0.2450 0.1345 0.9198  1 S 1.50
O: 0.3497 0.1458 0.0290  1 S 1.48
O: 0.0892 0.1517 0.0895  1 Si 1.66
O: 0.3444 0.5122 0.2473  1 Si 1.66
O: 0.7738 0.6887 0.9693  1 S 1.47
O: 0.0120 0.8220 0.4124  1 S 1.46
O: 0.4881 0.7885 0.8031  1 S 1.47
O: 0.0115 0.2022 0.9130  1 S 1.47
O: 0.6591 0.4585 0.4688  1 S 1.46
O: 0.9276 0.3112 0.5326  1 S 1.49
O: 0.1814 0.8497 0.5785  1 Si 1.65
O: 0.6822 0.4689 0.3618  1 S 1.49
O: 0.5586 0.6386 0.3560  1 Si 1.65
O: 0.4311 0.3535 0.9230  1 S 1.50
O: 0.2528 0.8718 0.0780  1 S 1.50
O: 0.2278 0.1530 0.5262  1 Si 1.62
O: 0.9223 0.3139 0.2452  1 S 1.47
O: 0.2397 0.3677 0.1429  1 Si 1.62
O: 0.0563 0.4727 0.8607  1 S 1.52
O: 0.1514 0.4659 0.7593  1 S 1.52
O: 0.5108 0.8422 0.4139  1 Si 1.66
O: 0.0757 0.4753 0.2569  1 S 1.51
O: 0.7532 0.8726 0.0779  1 S 1.50
O: 0.4299 0.3070 0.5314  1 S 1.48
O: 0.7391 0.1119 0.6420  1 Si 1.62
O: 0.4855 0.1746 0.5893  1 S 1.50
O: 0.4100 0.0226 0.8064  1 Si 1.58
O: 0.5691 0.4868 0.5772  1 S 1.47
O: 0.2736 0.6888 0.9695  1 S 1.47
O: 0.5911 0.1976 0.4130  1 S 1.48
O: 0.9166 0.0402 0.8040  1 Si 1.60
O: 0.5563 0.4747 0.8630  1 S 1.50
O: 0.8258 0.5125 0.9208  1 S 1.50
O: 0.0198 0.8126 0.6995  1 S 1.48
O: 0.1783 0.4729 0.3616  1 S 1.52
O: 0.0947 0.2229 0.7002  1 S 1.48
O: 0.7662 0.6414 0.8632  1 S 1.50
O: 0.4069 0.0108 0.0857  1 S 1.50
O: 0.3384 0.1679 0.7486  1 Si 1.63
O: 0.2350 0.3266 0.7452  1 S 1.47
O: 0.9886 0.7981 0.0867  1 S 1.50
O: 0.0207 0.2318 0.1988  1 S 1.50
O: 0.6577 0.4711 0.7587  1 S 1.50
O: 0.4436 0.3696 0.6359  1 S 1.48
O: 0.8895 0.8095 0.1873  1 Si 1.65
O: 0.7232 0.1427 0.5234  1 Si 1.64
O: 0.1810 0.5113 0.0779  1 Si 1.64
O: 0.6779 0.8853 0.8630  1 S 1.50
O: 0.2558 0.6452 0.5792  1 S 1.47
O: 0.7454 0.3478 0.4200  1 S 1.52
O: 0.8241 0.5286 0.6391  1 S 1.48
O: 0.2378 0.1065 0.6436  1 Si 1.63
O: 0.5885 0.9797 0.9121  1 S 1.47
O: 0.4891 0.1895 0.3038  1 S 1.46
O: 0.1073 0.1815 0.8043  1 S 1.47
O: 0.9449 0.5240 0.1370  1 S 1.47
O: 0.2345 0.1486 0.2441  1 S 1.47
O: 0.0709 0.4606 0.9668  1 S 1.46
O: 0.8441 0.5129 0.2473  1 Si 1.66
O: 0.0693 0.4866 0.5758  1 S 1.46
O: 0.0713 0.6580 0.0752  1 S 1.48
O: 0.9454 0.3658 0.6384  1 S 1.48
O: 0.0878 0.9802 0.9127  1 S 1.47
O: 0.7228 0.2848 0.0280  1 Si 1.63
O: 0.7535 0.6724 0.2557  1 Si 1.66
O: 0.2730 0.8504 0.4705  1 S 1.48
O: 0.8439 0.1743 0.7462  1 Si 1.65
O: 0.8916 0.9579 0.6905  1 Si 1.65
O: 0.1770 0.8871 0.8630  1 S 1.51
O: 0.3897 0.9584 0.6906  1 Si 1.66
Zn: 0.8298 0.3040 0.6777  3 O 1.89-2.05
Zn: 0.4933 0.9730 0.3500  2 O 1.91-2.00
Zn: 0.8280 0.3540 0.1820  3 O 1.91-2.12
Zn: 0.3290 0.3538 0.1821  3 O 1.92-2.11
Zn: 0.1620 0.6357 0.0170  3 O 1.93-2.09
Zn: 0.4928 0.0074 0.8487  1 O 1.86
Zn: 0.3323 0.2921 0.6798  3 O 1.90-2.00
Zn: 0.6625 0.6822 0.5141  3 O 1.91-2.11
Zn: 0.6613 0.6346 0.0168  3 O 1.93-2.11
Zn: 0.9917 0.0032 0.8497  1 O 1.88
Zn: 0.1594 0.6832 0.5189  4 O 1.93-2.12
Zn: 0.9898 0.9802 0.3485  2 O 1.88-2.10
Na: 0.8280 0.6892 0.0898  4 O 2.33-2.55
Na: 0.3391 0.3353 0.3331  6 O 2.50-2.75
Na: 0.6911 0.0084 0.7436  5 O 2.39-2.60
Na: 0.8376 0.3450 0.3306  4 O 2.39-2.67
Na: 0.1922 0.0079 0.7425  3 O 2.29-2.45
Na: 0.6902 0.3756 0.2456  5 O 2.34-2.59
Na: 0.0125 0.0026 0.4986  4 O 2.43-2.68
Na: 0.4931 0.6306 0.2573  5 O 2.35-2.56
Na: 0.5098 0.0107 0.4964  4 O 2.43-2.72
Na: 0.3267 0.9680 0.5873  3 O 2.29-2.54
Na: 0.1685 0.6805 0.6586  2 O 2.31-2.50
Na: 0.3568 0.6718 0.4114  5 O 2.33-2.57
Na: 0.6598 0.0194 0.4228  5 O 2.35-2.59
Na: 0.3220 0.6487 0.7457  6 O 2.43-2.71
Na: 0.5070 0.0216 0.9968  5 O 2.47-2.70
Na: 0.1730 0.6583 0.1647  4 O 2.43-2.67
Na: 0.6724 0.6575 0.1656  4 O 2.45-2.63
Na: 0.6669 0.6667 0.6613  3 O 2.38-2.60
Na: 0.3285 0.6893 0.0896  4 O 2.34-2.54
Na: 0.5235 0.7070 0.5762  5 O 2.34-2.59
Na: 0.9926 0.3511 0.7504  4 O 2.34-2.57
Na: 0.8192 0.6428 0.7453  5 O 2.45-2.66
Na: 0.8261 0.9632 0.5860  4 O 2.35-2.53
Na: 0.1909 0.3738 0.2454  4 O 2.33-2.52
Na: 0.9913 0.6347 0.2525  4 O 2.32-2.57
Na: 0.0067 0.0207 0.9973  6 O 2.50-2.76
Na: 0.6537 0.9799 0.0797  5 O 2.37-2.64
Na: 0.1541 0.9805 0.0798  5 O 2.37-2.64
Na: 0.8326 0.3202 0.8331  6 O 2.45-2.70
Na: 0.3414 0.3225 0.8305  2 O 2.32-2.58
In: 0.8319 0.3372 0.4858  6 O 2.03-2.26
In: 0.1725 0.6735 0.3181  6 O 2.06-2.28
In: 0.1731 0.6770 0.8217  5 O 2.06-2.26
In: 0.5028 0.0076 0.6517  5 O 2.04-2.21
In: 0.9974 0.0091 0.1524  3 O 2.02-2.13
In: 0.3298 0.3299 0.9835  6 O 2.01-2.23
In: 0.4975 0.0089 0.1518  5 O 2.02-2.26
In: 0.0023 0.9987 0.6483  4 O 2.01-2.24
In: 0.6672 0.6692 0.8200  6 O 2.09-2.25
In: 0.8294 0.3295 0.9835  6 O 2.01-2.24
In: 0.6701 0.6697 0.3202  5 O 2.04-2.28
In: 0.3308 0.3283 0.4822  4 O 1.98-2.21
Si: 0.8523 0.7047 0.2504  4 O 1.60-1.66
Si: 0.1830 0.3324 0.0849  4 O 1.62-1.66
Si: 0.8541 0.0027 0.7505  4 O 1.60-1.67
Si: 0.3546 0.0057 0.7514  4 O 1.58-1.70
Si: 0.1835 0.0343 0.5840  4 O 1.62-1.65
Si: 0.3516 0.7025 0.2499  4 O 1.61-1.66
Si: 0.6830 0.0322 0.5843  4 O 1.62-1.66
Si: 0.6827 0.3328 0.0847  4 O 1.62-1.66
Si: 0.5176 0.6655 0.4173  4 O 1.61-1.66
S: 0.1475 0.0007 0.2513  4 O 1.47-1.51
S: 0.0182 0.3708 0.9172  4 O 1.46-1.52
S: 0.4828 0.6269 0.0831  4 O 1.47-1.50
S: 0.3143 0.9612 0.4179  4 O 1.47-1.49
S: 0.1467 0.2943 0.7529  4 O 1.47-1.52
S: 0.9827 0.6266 0.0830  4 O 1.47-1.50
S: 0.9987 0.2972 0.2529  4 O 1.46-1.51
S: 0.5180 0.3705 0.9182  4 O 1.46-1.50
S: 0.3180 0.6688 0.9179  4 O 1.47-1.51
S: 0.1644 0.9634 0.9185  4 O 1.47-1.51
S: 0.1620 0.3684 0.4179  4 O 1.46-1.52
S: 0.6648 0.9618 0.9179  4 O 1.47-1.51
S: 0.6674 0.3708 0.4177  4 O 1.46-1.52
S: 0.9826 0.3392 0.5837  4 O 1.46-1.50
S: 0.3332 0.0428 0.0833  4 O 1.46-1.50
S: 0.4823 0.3372 0.5835  4 O 1.47-1.50
S: 0.8318 0.6262 0.5850  4 O 1.48-1.51
S: 0.6478 0.2963 0.7528  4 O 1.46-1.50
S: 0.4993 0.7029 0.7520  4 O 1.47-1.51
S: 0.6494 0.0019 0.2501  4 O 1.47-1.50
S: 0.8191 0.9682 0.4185  4 O 1.47-1.51
S: 0.4986 0.2944 0.2523  4 O 1.46-1.51
S: 0.3316 0.6257 0.5852  4 O 1.47-1.52
S: 0.8334 0.0433 0.0833  4 O 1.46-1.50
S: 0.9994 0.7043 0.7528  4 O 1.46-1.51
S: 0.0192 0.6678 0.4169  4 O 1.46-1.51
S: 0.8171 0.6689 0.9171  4 O 1.47-1.50

=====

[2]
Below is a geometry-optimized KNaB2H8 structure, with properties calculated at the PBE level.

polymorph energy (0 for the lowest one)	0.0	meV per atom
VASP energy	-3.932	eV/atom
crystal system	trigonal
calculated volume	128.0	Å³ per cell
energy relative to the elements	-0.473	eV/atom

a = 7.4769 Å, b = 7.4769 Å, c = 7.4769 Å
α = 35.82°, β = 35.82°, γ = 35.82°
Last column: nearest neighbours and their distance in Å.
Element x y z (fractional)
B: 0.2613 0.2613 0.2613  4 H 1.22-1.23
B: 0.7387 0.7387 0.7387  4 H 1.22-1.23
H: 0.9040 0.4682 0.9040  1 B 1.23
H: 0.9040 0.9040 0.4682  1 B 1.23
H: 0.6803 0.6803 0.6803  1 B 1.22
H: 0.5318 0.0960 0.0960  1 B 1.23
H: 0.0960 0.0960 0.5318  1 B 1.23
H: 0.0960 0.5318 0.0960  1 B 1.23
H: 0.3197 0.3197 0.3197  1 B 1.22
H: 0.4682 0.9040 0.9040  1 B 1.23
Na: 0.0000 0.0000 0.0000  12 H 2.44-2.67
K: 0.5000 0.5000 0.5000  12 H 2.79

=====

[3]
Below is a geometry-optimized Sm3IrO7 structure, with properties calculated at the PBE level.

VASP energy	-7.847	eV/atom
crystal system	orthorhombic
calculated volume	303.8	Å³ per cell
energy relative to the elements	-3.045	eV/atom

a = 6.5671 Å, b = 6.5671 Å, c = 7.5281 Å
α = 90.00°, β = 90.00°, γ = 110.64°
Last column: nearest neighbours and their distance in Å.
Element x y z (fractional)
O: 0.5613 0.8157 0.0377  1 Ir 1.99
O: 0.5613 0.8157 0.4623  1 Ir 1.99
O: 0.5919 0.5919 0.7500  2 Ir 2.00
O: 0.1843 0.4387 0.9623  1 Ir 1.99
O: 0.8157 0.5613 0.4623  1 Ir 1.99
O: 0.4387 0.1843 0.5377  1 Ir 1.99
O: 0.8450 0.1101 0.7500  4 Sm 2.28-2.37
O: 0.4387 0.1843 0.9623  1 Ir 1.99
O: 0.8157 0.5613 0.0377  1 Ir 1.99
O: 0.1843 0.4387 0.5377  1 Ir 1.99
O: 0.8899 0.1550 0.2500  4 Sm 2.28-2.37
O: 0.4081 0.4081 0.2500  2 Ir 2.00
O: 0.1550 0.8899 0.2500  4 Sm 2.28-2.37
O: 0.1101 0.8450 0.7500  4 Sm 2.28-2.37
Sm: 0.4784 0.9252 0.7500  7 O 2.28-2.55
Sm: 0.0000 0.0000 0.0000  4 O 2.37
Sm: 0.0000 0.0000 0.5000  4 O 2.37
Sm: 0.5216 0.0748 0.2500  7 O 2.28-2.55
Sm: 0.9252 0.4784 0.7500  7 O 2.28-2.55
Sm: 0.0748 0.5216 0.2500  7 O 2.28-2.55
Ir: 0.5000 0.5000 0.0000  6 O 1.99-2.00
Ir: 0.5000 0.5000 0.5000  6 O 1.99-2.00